1.
Here is a geometry-optimized V2Cd6Se5O21 structure from the Materials Project database. Energies are from PBE with a Hubbard U.

abc: 15.629 5.549 24.501
angles: 90.00 94.35 90.00
Sites, in units of the cell vectors:
V 0.097 0.223 0.272
V 0.097 0.277 0.772
V 0.209 0.739 0.313
V 0.209 0.761 0.813
V 0.791 0.239 0.187
V 0.791 0.261 0.687
V 0.903 0.723 0.228
V 0.903 0.777 0.728
Cd 0.012 0.702 0.875
Cd 0.012 0.798 0.375
Cd 0.087 0.737 0.527
Cd 0.087 0.763 0.027
Cd 0.227 0.217 0.585
Cd 0.227 0.283 0.085
Cd 0.376 0.681 0.644
Cd 0.376 0.819 0.144
Cd 0.455 0.710 0.797
Cd 0.455 0.790 0.297
Cd 0.469 0.244 0.543
Cd 0.469 0.256 0.043
Cd 0.531 0.744 0.957
Cd 0.531 0.756 0.457
Cd 0.545 0.210 0.703
Cd 0.545 0.290 0.203
Cd 0.624 0.181 0.856
Cd 0.624 0.319 0.356
Cd 0.773 0.717 0.915
Cd 0.773 0.783 0.415
Cd 0.913 0.237 0.973
Cd 0.913 0.263 0.473
Cd 0.988 0.202 0.625
Cd 0.988 0.298 0.125
Se 0.119 0.205 0.944
Se 0.119 0.295 0.444
Se 0.142 0.740 0.158
Se 0.142 0.760 0.658
Se 0.318 0.714 0.501
Se 0.318 0.786 0.001
Se 0.339 0.185 0.721
Se 0.339 0.315 0.221
Se 0.425 0.220 0.890
Se 0.425 0.280 0.390
Se 0.575 0.720 0.610
Se 0.575 0.780 0.110
Se 0.661 0.685 0.779
Se 0.661 0.815 0.279
Se 0.682 0.214 0.999
Se 0.682 0.286 0.499
Se 0.858 0.240 0.342
Se 0.858 0.260 0.842
Se 0.881 0.705 0.556
Se 0.881 0.795 0.056
O 0.030 0.207 0.214
O 0.030 0.293 0.714
O 0.034 0.504 0.442
O 0.034 0.996 0.942
O 0.046 0.183 0.329
O 0.046 0.317 0.829
O 0.060 0.043 0.460
O 0.060 0.457 0.960
O 0.107 0.520 0.107
O 0.107 0.980 0.607
O 0.135 0.513 0.616
O 0.135 0.987 0.116
O 0.161 0.744 0.873
O 0.161 0.756 0.373
O 0.163 0.009 0.774
O 0.163 0.491 0.274
O 0.167 0.106 0.005
O 0.167 0.394 0.505
O 0.181 0.504 0.770
O 0.181 0.996 0.270
O 0.242 0.611 0.030
O 0.242 0.889 0.530
O 0.248 0.663 0.164
O 0.248 0.837 0.664
O 0.317 0.716 0.325
O 0.317 0.784 0.825
O 0.327 0.210 0.154
O 0.327 0.290 0.654
O 0.351 0.519 0.557
O 0.351 0.981 0.057
O 0.404 0.589 0.998
O 0.404 0.911 0.498
O 0.412 0.551 0.215
O 0.412 0.949 0.715
O 0.417 0.109 0.244
O 0.417 0.391 0.744
O 0.442 0.093 0.954
O 0.442 0.407 0.454
O 0.489 0.019 0.856
O 0.489 0.481 0.356
O 0.493 0.031 0.387
O 0.493 0.469 0.887
O 0.507 0.531 0.113
O 0.507 0.969 0.613
O 0.511 0.519 0.644
O 0.511 0.981 0.144
O 0.558 0.593 0.546
O 0.558 0.907 0.046
O 0.583 0.609 0.256
O 0.583 0.891 0.756
O 0.588 0.051 0.285
O 0.588 0.449 0.785
O 0.596 0.089 0.502
O 0.596 0.411 0.002
O 0.649 0.019 0.943
O 0.649 0.481 0.443
O 0.673 0.710 0.346
O 0.673 0.790 0.846
O 0.683 0.216 0.175
O 0.683 0.284 0.675
O 0.752 0.163 0.336
O 0.752 0.337 0.836
O 0.758 0.111 0.470
O 0.758 0.389 0.970
O 0.819 0.004 0.730
O 0.819 0.496 0.230
O 0.833 0.606 0.495
O 0.833 0.894 0.995
O 0.837 0.509 0.726
O 0.837 0.991 0.226
O 0.839 0.244 0.627
O 0.839 0.256 0.127
O 0.865 0.013 0.884
O 0.865 0.487 0.384
O 0.893 0.020 0.393
O 0.893 0.480 0.893
O 0.940 0.543 0.040
O 0.940 0.957 0.540
O 0.954 0.683 0.171
O 0.954 0.817 0.671
O 0.966 0.004 0.058
O 0.966 0.496 0.558
O 0.970 0.707 0.286
O 0.970 0.793 0.786

Total energy: -727.92 eV/cell
Symmetry: P2_1/c
Total magnetic moment: 0.16 μB per cell



2.
Here is a geometry-optimized V2Cd4Te3O15 structure from the Materials Project database. Energies are from PBE with a Hubbard U.

abc: 5.480 16.378 16.687
angles: 90.00 90.00 90.00
Sites, in units of the cell vectors:
V 0.192 0.249 0.439
V 0.215 0.417 0.931
V 0.285 0.583 0.431
V 0.308 0.751 0.939
V 0.692 0.251 0.561
V 0.715 0.083 0.069
V 0.785 0.917 0.569
V 0.808 0.749 0.061
Cd 0.174 0.085 0.270
Cd 0.185 0.254 0.765
Cd 0.239 0.087 0.915
Cd 0.247 0.413 0.237
Cd 0.253 0.587 0.737
Cd 0.261 0.913 0.415
Cd 0.315 0.746 0.265
Cd 0.326 0.915 0.770
Cd 0.674 0.415 0.730
Cd 0.685 0.246 0.235
Cd 0.739 0.413 0.085
Cd 0.747 0.087 0.763
Cd 0.753 0.913 0.263
Cd 0.761 0.587 0.585
Cd 0.815 0.754 0.735
Cd 0.826 0.585 0.230
Te 0.203 0.250 0.112
Te 0.203 0.427 0.606
Te 0.229 0.075 0.619
Te 0.271 0.925 0.119
Te 0.297 0.573 0.106
Te 0.297 0.750 0.612
Te 0.703 0.073 0.394
Te 0.703 0.250 0.888
Te 0.729 0.425 0.381
Te 0.771 0.575 0.881
Te 0.797 0.750 0.388
Te 0.797 0.927 0.894
O 0.005 0.366 0.990
O 0.010 0.819 0.325
O 0.013 0.992 0.829
O 0.030 0.502 0.130
O 0.034 0.675 0.634
O 0.040 0.494 0.873
O 0.052 0.709 0.997
O 0.060 0.144 0.690
O 0.061 0.978 0.192
O 0.064 0.322 0.381
O 0.064 0.539 0.491
O 0.145 0.655 0.372
O 0.172 0.816 0.697
O 0.186 0.646 0.187
O 0.193 0.829 0.886
O 0.307 0.171 0.386
O 0.314 0.354 0.687
O 0.328 0.184 0.197
O 0.355 0.345 0.872
O 0.436 0.461 0.991
O 0.436 0.678 0.881
O 0.439 0.022 0.692
O 0.440 0.856 0.190
O 0.448 0.291 0.497
O 0.460 0.506 0.373
O 0.466 0.325 0.134
O 0.470 0.498 0.630
O 0.487 0.008 0.329
O 0.490 0.181 0.825
O 0.495 0.634 0.490
O 0.505 0.134 0.010
O 0.510 0.681 0.675
O 0.513 0.508 0.171
O 0.530 0.998 0.870
O 0.534 0.825 0.366
O 0.540 0.006 0.127
O 0.552 0.791 0.003
O 0.560 0.356 0.310
O 0.561 0.522 0.808
O 0.564 0.178 0.619
O 0.564 0.961 0.509
O 0.645 0.845 0.628
O 0.672 0.684 0.303
O 0.686 0.854 0.813
O 0.693 0.671 0.114
O 0.807 0.329 0.614
O 0.814 0.146 0.313
O 0.828 0.316 0.803
O 0.855 0.155 0.128
O 0.936 0.039 0.009
O 0.936 0.822 0.119
O 0.939 0.478 0.308
O 0.940 0.644 0.810
O 0.948 0.209 0.503
O 0.960 0.994 0.627
O 0.966 0.175 0.866
O 0.970 0.002 0.370
O 0.987 0.492 0.671
O 0.990 0.319 0.175
O 0.995 0.866 0.510

Total energy: -538.91 eV/cell
Symmetry: P2_12_12_1



3.
Here is a geometry-optimized V4Cd9O19 structure from the Materials Project database. Energies are from PBE with a Hubbard U.

abc: 8.746 8.770 13.164
angles: 95.59 102.51 108.48
Sites, in units of the cell vectors:
V 0.000 0.000 0.000
V 0.017 0.496 0.133
V 0.088 0.615 0.680
V 0.376 0.243 0.410
V 0.480 0.470 0.917
V 0.536 0.016 0.212
V 0.635 0.223 0.708
V 0.942 0.859 0.445
Cd 0.054 0.341 0.884
Cd 0.152 0.873 0.268
Cd 0.159 0.512 0.443
Cd 0.212 0.265 0.647
Cd 0.258 0.744 0.989
Cd 0.275 0.040 0.833
Cd 0.357 0.360 0.140
Cd 0.379 0.899 0.556
Cd 0.498 0.711 0.327
Cd 0.525 0.784 0.812
Cd 0.606 0.583 0.564
Cd 0.657 0.136 0.993
Cd 0.742 0.741 0.132
Cd 0.743 0.461 0.304
Cd 0.800 0.213 0.483
Cd 0.840 0.635 0.829
Cd 0.869 0.963 0.687
Cd 0.953 0.152 0.246
O 0.024 0.543 0.008
O 0.043 0.429 0.592
O 0.066 0.869 0.923
O 0.075 0.569 0.807
O 0.095 0.768 0.459
O 0.099 0.158 0.773
O 0.136 0.202 0.016
O 0.212 0.523 0.211
O 0.254 0.246 0.289
O 0.287 0.749 0.682
O 0.312 0.337 0.510
O 0.334 0.865 0.169
O 0.339 0.037 0.417
O 0.350 0.525 0.987
O 0.403 0.469 0.786
O 0.413 0.684 0.470
O 0.417 0.121 0.692
O 0.429 0.917 0.915
O 0.485 0.280 0.945
O 0.534 0.208 0.193
O 0.581 0.575 0.213
O 0.591 0.352 0.432
O 0.617 0.002 0.342
O 0.665 0.967 0.138
O 0.679 0.419 0.683
O 0.681 0.624 0.955
O 0.689 0.103 0.613
O 0.689 0.754 0.719
O 0.752 0.708 0.438
O 0.754 0.235 0.833
O 0.804 0.983 0.932
O 0.883 0.294 0.117
O 0.916 0.335 0.361
O 0.931 0.924 0.323
O 0.939 0.626 0.203
O 0.952 0.714 0.645
O 0.978 0.033 0.540
O 0.993 0.947 0.125

Total energy: -356.51 eV/cell
Symmetry: P1
Total magnetic moment: 0.00 μB per cell



4.
Here is a geometry-optimized V2CdO4 structure from the Materials Project database. Energies are from PBE with a Hubbard U.

abc: 6.258 6.264 6.265
angles: 60.08 60.13 60.04
Sites, in units of the cell vectors:
V 0.000 0.000 0.000
V 0.000 0.000 0.500
V 0.000 0.500 0.000
V 0.500 0.000 0.000
Cd 0.375 0.374 0.375
Cd 0.625 0.626 0.625
O 0.198 0.767 0.767
O 0.232 0.235 0.803
O 0.233 0.231 0.234
O 0.233 0.803 0.232
O 0.767 0.197 0.768
O 0.767 0.769 0.766
O 0.768 0.765 0.197
O 0.802 0.233 0.233

Total energy: -96.84 eV/cell
Symmetry: P-1
Total magnetic moment: 8.00 μB per cell



5.
Here is a geometry-optimized V2CdO6 structure from the Materials Project database. Energies are from PBE with a Hubbard U.

abc: 5.115 5.115 7.085
angles: 110.95 110.95 41.37
Sites, in units of the cell vectors:
V 0.187 0.187 0.138
V 0.813 0.813 0.862
Cd 0.000 0.000 0.500
O 0.030 0.030 0.198
O 0.304 0.304 0.936
O 0.335 0.335 0.370
O 0.665 0.665 0.630
O 0.696 0.696 0.064
O 0.970 0.970 0.802

Total energy: -60.75 eV/cell
Symmetry: C2/m



6.
Here is a geometry-optimized V2CdO6 structure from the Materials Project database. Energies are from PBE with a Hubbard U.

abc: 5.365 5.365 7.220
angles: 102.09 102.09 39.87
Sites, in units of the cell vectors:
V 0.233 0.233 0.172
V 0.767 0.767 0.828
Cd 0.000 0.000 0.500
O 0.084 0.084 0.234
O 0.252 0.252 0.899
O 0.361 0.361 0.374
O 0.639 0.639 0.626
O 0.748 0.748 0.101
O 0.916 0.916 0.766

Total energy: -60.90 eV/cell
Symmetry: C2/m



7.
Here is a geometry-optimized V3CdO7 structure from the Materials Project database. Energies are from PBE with a Hubbard U.

abc: 10.654 10.463 5.377
angles: 90.00 90.00 90.00
Sites, in units of the cell vectors:
V 0.186 0.024 0.216
V 0.186 0.476 0.216
V 0.214 0.250 0.708
V 0.286 0.750 0.208
V 0.314 0.524 0.716
V 0.314 0.976 0.716
V 0.686 0.024 0.284
V 0.686 0.476 0.284
V 0.714 0.250 0.792
V 0.786 0.750 0.292
V 0.814 0.524 0.784
V 0.814 0.976 0.784
Cd 0.078 0.750 0.688
Cd 0.422 0.250 0.188
Cd 0.578 0.750 0.812
Cd 0.922 0.250 0.312
O 0.039 0.077 0.231
O 0.039 0.423 0.231
O 0.059 0.250 0.690
O 0.220 0.618 0.976
O 0.220 0.882 0.976
O 0.223 0.619 0.452
O 0.223 0.881 0.452
O 0.277 0.119 0.952
O 0.277 0.381 0.952
O 0.280 0.118 0.476
O 0.280 0.382 0.476
O 0.441 0.750 0.190
O 0.461 0.577 0.731
O 0.461 0.923 0.731
O 0.539 0.077 0.269
O 0.539 0.423 0.269
O 0.559 0.250 0.810
O 0.720 0.618 0.524
O 0.720 0.882 0.524
O 0.723 0.619 0.048
O 0.723 0.881 0.048
O 0.777 0.119 0.548
O 0.777 0.381 0.548
O 0.780 0.118 0.024
O 0.780 0.382 0.024
O 0.941 0.750 0.310
O 0.961 0.577 0.769
O 0.961 0.923 0.769

Relative energy among the computed polymorphs: 0.00 eV/f.u.
Symmetry: Pnma
Total magnetic moment: 12.00 μB per cell